Entry 1:
This record from Materials Project describes an optimized crystal structure of LuSi2Os2. The functional is r²SCAN.

Cell lengths 5.5556, 5.5556, 5.5556 Å; angles 136.07, 136.07, 63.87 degrees
Closest atoms and distances in Å follow each position.
Fractional coordinates of all 5 atoms:
Lu1 0.0000 0.0000 0.0000  8 Os 3.14, 10 Si 3.18-3.51
Si1 0.3719 0.3719 0.0000  4 Os 2.37, 1 Si 2.42
Si2 0.6281 0.6281 0.0000  4 Os 2.37, 1 Si 2.42
Os1 0.2500 0.7500 0.5000  4 Si 2.37
Os2 0.7500 0.2500 0.5000  4 Si 2.37

SG: I4/mmm (139)
Calculated formation energy (kJ/mol of formula units): -377
Calculated total energy (eV/cell): -165.51

Entry 2:
This record from Materials Project describes an optimized crystal structure of LuP5. The functional is r²SCAN.

Cell lengths 4.9058, 9.2792, 5.2865 Å; angles 90.00, 102.50, 90.00 degrees
Closest atoms and distances in Å follow each position.
Fractional coordinates of all 12 atoms:
Lu1 0.0001 0.2500 0.1528  8 P 2.87-3.01
Lu2 0.9999 0.7500 0.8472  8 P 2.87-3.01
P1 0.2736 0.7500 0.3898  2 P 2.19
P2 0.2843 0.0281 0.9040  2 P 2.15-2.20
P3 0.2843 0.4719 0.9040  2 P 2.15-2.20
P4 0.3844 0.0933 0.5435  3 P 2.15-2.19
P5 0.3844 0.4067 0.5435  3 P 2.15-2.19
P6 0.6156 0.5933 0.4565  3 P 2.15-2.19
P7 0.6156 0.9067 0.4565  3 P 2.15-2.19
P8 0.7157 0.5281 0.0960  2 P 2.15-2.20
P9 0.7157 0.9719 0.0960  2 P 2.15-2.20
P10 0.7264 0.2500 0.6102  2 P 2.19

SG: P2_1/m (11)
Calculated formation energy (kJ/mol of formula units): -346
Calculated total energy (eV/cell): -173.35

Entry 3:
This record from Materials Project describes an optimized crystal structure of LuP. The functional is r²SCAN.

Cell lengths 3.9059, 3.9059, 3.9059 Å; angles 60.00, 60.00, 60.00 degrees
Closest atoms and distances in Å follow each position.
Fractional coordinates of all 2 atoms:
Lu1 0.0000 0.0000 0.0000  6 P 2.76
P1 0.5000 0.5000 0.5000  6 Lu 2.76

SG: Fm-3m (225)
Calculated formation energy (kJ/mol of formula units): -351
Calculated total energy (eV/cell): -50.72

Entry 4:
This record from Materials Project describes an optimized crystal structure of LuPaRe2. The functional is r²SCAN.

Cell lengths 4.8024, 4.8024, 4.8024 Å; angles 60.00, 60.00, 60.00 degrees
Closest atoms and distances in Å follow each position.
Fractional coordinates of all 4 atoms:
Lu1 0.0000 0.0000 0.0000  8 Re 2.94
Pa1 0.5000 0.5000 0.5000  8 Re 2.94
Re1 0.2500 0.2500 0.2500  4 Pa 2.94, 4 Lu 2.94
Re2 0.7500 0.7500 0.7500  4 Pa 2.94, 4 Lu 2.94

SG: Fm-3m (225)
Calculated formation energy (kJ/mol of formula units): -23
Calculated total energy (eV/cell): -220.00

Entry 5:
This record from Materials Project describes an optimized crystal structure of LuPaTc2. The functional is r²SCAN.

Cell lengths 4.7779, 4.7779, 4.7779 Å; angles 60.00, 60.00, 60.00 degrees
Closest atoms and distances in Å follow each position.
Fractional coordinates of all 4 atoms:
Lu1 0.0000 0.0000 0.0000  8 Tc 2.93
Pa1 0.5000 0.5000 0.5000  8 Tc 2.93
Tc1 0.2500 0.2500 0.2500  4 Pa 2.93, 4 Lu 2.93
Tc2 0.7500 0.7500 0.7500  4 Pa 2.93, 4 Lu 2.93

SG: Fm-3m (225)
Calculated formation energy (kJ/mol of formula units): -109
Calculated total energy (eV/cell): -168.00

Entry 6:
This record from Materials Project describes an optimized crystal structure of Lu6Pb5. The functional is r²SCAN.

Cell lengths 11.4825, 11.4825, 6.4689 Å; angles 106.36, 106.36, 47.21 degrees
Closest atoms and distances in Å follow each position.
Fractional coordinates of all 22 atoms:
Lu1 0.1731 0.7105 0.9420  5 Pb 2.97-3.18
Lu2 0.1955 0.1962 0.4456  6 Pb 3.02-3.24, 2 Lu 3.23
Lu3 0.1962 0.1955 0.9456  6 Pb 3.02-3.24, 2 Lu 3.23
Lu4 0.2467 0.4709 0.3583  2 Pb 2.94-3.11
Lu5 0.2895 0.8269 0.5580  5 Pb 2.97-3.18
Lu6 0.4709 0.2467 0.8583  2 Pb 2.94-3.11
Lu7 0.5291 0.7533 0.1417  2 Pb 2.94-3.11
Lu8 0.7105 0.1731 0.4420  5 Pb 2.97-3.18
Lu9 0.7533 0.5291 0.6417  2 Pb 2.94-3.11
Lu10 0.8038 0.8045 0.0544  6 Pb 3.02-3.24, 2 Lu 3.23
Lu11 0.8045 0.8038 0.5544  6 Pb 3.02-3.24, 2 Lu 3.23
Lu12 0.8269 0.2895 0.0580  5 Pb 2.97-3.18
Pb1 0.0230 0.8228 0.4224  5 Lu 2.94-3.07
Pb2 0.0991 0.4902 0.7951  6 Lu 3.02-3.24
Pb3 0.1772 0.9770 0.0776  5 Lu 2.94-3.07
Pb4 0.4902 0.0991 0.2951  6 Lu 3.02-3.24
Pb5 0.5000 0.5000 0.2500  8 Lu 3.17-3.42, 2 Pb 3.23
Pb6 0.5000 0.5000 0.7500  8 Lu 3.17-3.42, 2 Pb 3.23
Pb7 0.5098 0.9009 0.7049  6 Lu 3.02-3.24
Pb8 0.8228 0.0230 0.9224  5 Lu 2.94-3.07
Pb9 0.9009 0.5098 0.2049  6 Lu 3.02-3.24
Pb10 0.9770 0.1772 0.5776  5 Lu 2.94-3.07

SG: C2/c (15)
Calculated formation energy (kJ/mol of formula units): -636
Calculated total energy (eV/cell): -1033.00

Entry 7:
This record from Materials Project describes an optimized crystal structure of Lu2Pd2Pb. The functional is r²SCAN.

Cell lengths 7.7124, 7.7124, 3.5646 Å; angles 90.00, 90.00, 90.00 degrees
Closest atoms and distances in Å follow each position.
Fractional coordinates of all 10 atoms:
Lu1 0.1693 0.3307 0.0000  6 Pd 2.85-2.91
Lu2 0.3307 0.8307 0.0000  6 Pd 2.85-2.91
Lu3 0.6693 0.1693 0.0000  6 Pd 2.85-2.91
Lu4 0.8307 0.6693 0.0000  6 Pd 2.85-2.91
Pd1 0.1264 0.6264 0.5000  1 Pd 2.76, 6 Lu 2.85-2.91, 2 Pb 3.04
Pd2 0.3736 0.1264 0.5000  1 Pd 2.76, 6 Lu 2.85-2.91, 2 Pb 3.04
Pd3 0.6264 0.8736 0.5000  1 Pd 2.76, 6 Lu 2.85-2.91, 2 Pb 3.04
Pd4 0.8736 0.3736 0.5000  1 Pd 2.76, 6 Lu 2.85-2.91, 2 Pb 3.04
Pb1 0.0000 0.0000 0.5000  4 Pd 3.04, 8 Lu 3.37
Pb2 0.5000 0.5000 0.5000  4 Pd 3.04, 8 Lu 3.37

SG: P4/mbm (127)
Calculated formation energy (kJ/mol of formula units): -437
Calculated total energy (eV/cell): -365.78

Entry 8:
This record from Materials Project describes an optimized crystal structure of LuRh2Pb. The functional is r²SCAN.

Cell lengths 4.6773, 4.6773, 4.6773 Å; angles 60.00, 60.00, 60.00 degrees
Closest atoms and distances in Å follow each position.
Fractional coordinates of all 4 atoms:
Lu1 0.0000 0.0000 0.0000  8 Rh 2.86
Rh1 0.2500 0.2500 0.2500  4 Pb 2.86, 4 Lu 2.86
Rh2 0.7500 0.7500 0.7500  4 Pb 2.86, 4 Lu 2.86
Pb1 0.5000 0.5000 0.5000  8 Rh 2.86

SG: Fm-3m (225)
Calculated formation energy (kJ/mol of formula units): -257
Calculated total energy (eV/cell): -145.30

Entry 9:
This record from Materials Project describes an optimized crystal structure of LuPd. The functional is r²SCAN.

Cell lengths 3.4096, 3.4096, 3.4096 Å; angles 90.00, 90.00, 90.00 degrees
Closest atoms and distances in Å follow each position.
Fractional coordinates of all 2 atoms:
Lu1 0.0000 0.0000 0.0000  8 Pd 2.95
Pd1 0.5000 0.5000 0.5000  8 Lu 2.95

SG: Pm-3m (221)
Calculated formation energy (kJ/mol of formula units): -195
Calculated total energy (eV/cell): -63.06

Entry 10:
This record from Materials Project describes an optimized crystal structure of Lu3Pd4. The functional is r²SCAN.

Cell lengths 5.6444, 7.6415, 7.6463 Å; angles 114.03, 104.30, 104.30 degrees
Closest atoms and distances in Å follow each position.
Fractional coordinates of all 14 atoms:
Lu1 0.0223 0.2482 0.1165  8 Pd 2.81-3.04
Lu2 0.2740 0.3684 0.7517  8 Pd 2.81-3.03
Lu3 0.4055 0.8836 0.6320  8 Pd 2.81-3.03
Lu4 0.5945 0.1164 0.3680  8 Pd 2.81-3.03
Lu5 0.7260 0.6316 0.2483  8 Pd 2.81-3.03
Lu6 0.9777 0.7518 0.8835  8 Pd 2.81-3.04
Pd1 0.0000 0.5000 0.5000  2 Pd 2.82, 6 Lu 2.82-2.83
Pd2 0.0651 0.0199 0.3342  6 Lu 2.81-3.04, 3 Pd 2.92-2.96
Pd3 0.2309 0.6661 0.1863  6 Lu 2.81-3.03, 3 Pd 2.92-2.96
Pd4 0.4550 0.1858 0.0195  6 Lu 2.81-3.03, 3 Pd 2.92-2.96
Pd5 0.5000 0.5000 0.5000  2 Pd 2.82, 6 Lu 2.91-2.92
Pd6 0.5450 0.8142 0.9805  6 Lu 2.81-3.03, 3 Pd 2.92-2.96
Pd7 0.7691 0.3339 0.8137  6 Lu 2.81-3.03, 3 Pd 2.92-2.96
Pd8 0.9349 0.9801 0.6658  6 Lu 2.81-3.04, 3 Pd 2.92-2.96

SG: P-1 (2)
Calculated formation energy (kJ/mol of formula units): -692
Calculated total energy (eV/cell): -426.51

Entry 11:
This record from Materials Project describes an optimized crystal structure of Lu2PdPt. The functional is r²SCAN.

Cell lengths 4.8099, 4.8099, 4.8099 Å; angles 60.00, 60.00, 60.00 degrees
Closest atoms and distances in Å follow each position.
Fractional coordinates of all 4 atoms:
Lu1 0.2500 0.2500 0.2500  4 Pt 2.95, 4 Pd 2.95
Lu2 0.7500 0.7500 0.7500  4 Pd 2.95, 4 Pt 2.95
Pd1 0.0000 0.0000 0.0000  8 Lu 2.95
Pt1 0.5000 0.5000 0.5000  8 Lu 2.95

SG: Fm-3m (225)
Calculated formation energy (kJ/mol of formula units): -476
Calculated total energy (eV/cell): -155.54

Entry 12:
This record from Materials Project describes an optimized crystal structure of Lu2PdRh. The functional is r²SCAN.

Cell lengths 4.7639, 4.7639, 4.7639 Å; angles 60.00, 60.00, 60.00 degrees
Closest atoms and distances in Å follow each position.
Fractional coordinates of all 4 atoms:
Lu1 0.2500 0.2500 0.2500  4 Rh 2.92, 4 Pd 2.92
Lu2 0.7500 0.7500 0.7500  4 Rh 2.92, 4 Pd 2.92
Pd1 0.0000 0.0000 0.0000  8 Lu 2.92
Rh1 0.5000 0.5000 0.5000  8 Lu 2.92

SG: Fm-3m (225)
Calculated formation energy (kJ/mol of formula units): -399
Calculated total energy (eV/cell): -127.40